Record 1
Below is an optimized crystal structure of La3Tb, with properties calculated at the GGA-PBE level.

As for the formation enthalpy at 0 K: 31.6 meV/atom. Its calculated volume is 36.2 Å³ per atom. Its space group is I4/mmm.

Cell and atoms, written as POSCAR:
```
La3Tb
1.0
5.237 0.000 0.000
0.000 5.237 0.000
0.000 0.000 10.565
La Tb
6 2
direct
0.000 0.000 0.000
0.000 0.500 0.250
0.000 0.500 0.750
0.500 0.000 0.250
0.500 0.000 0.750
0.500 0.500 0.500
0.000 0.000 0.500
0.500 0.500 0.000
```

Record 2
Below is an optimized crystal structure of Ce2Ge6Pd, with properties calculated at the GGA-PBE level.

As for the formation enthalpy at 0 K: -506.0 meV/atom. Its calculated volume is 21.2 Å³ per atom. Its space group is Amm2. The total magnetization is 0.80 μB/f.u.

Cell and atoms, written as POSCAR:
```
Ce2Ge6Pd
1.0
4.159 0.000 0.000
0.000 2.061 11.107
0.000 -2.061 11.107
Ce Ge Pd
2 6 1
direct
0.000 0.000 0.000
0.000 0.334 0.334
0.000 0.619 0.619
0.000 0.732 0.732
0.500 0.120 0.120
0.500 0.233 0.233
0.500 0.446 0.446
0.500 0.879 0.879
0.500 0.556 0.556
```

Record 3
Below is an optimized crystal structure of Pr2P3H5O10, with properties calculated at the GGA-PBE level.

As for the formation enthalpy at 0 K: -2430.8 meV/atom. Its calculated volume is 12.4 Å³ per atom. Its space group is P2_1/c. The total magnetization is 0.00 μB/f.u.

Cell and atoms, written as POSCAR:
```
Pr2P3H5O10
1.0
9.751 0.000 0.000
0.000 8.074 0.000
-5.363 0.000 12.605
Pr P H O
8 12 20 40
direct
0.092 0.212 0.464
0.092 0.288 0.964
0.319 0.081 0.268
0.319 0.419 0.768
0.681 0.581 0.232
0.681 0.919 0.732
0.908 0.712 0.036
0.908 0.788 0.536
0.038 0.613 0.324
0.038 0.887 0.824
0.266 0.696 0.100
0.266 0.804 0.600
0.444 0.250 0.054
0.444 0.250 0.554
0.556 0.750 0.446
0.556 0.750 0.946
0.734 0.196 0.400
0.734 0.304 0.900
0.962 0.113 0.176
0.962 0.387 0.676
0.140 0.738 0.328
0.140 0.762 0.828
0.269 0.071 0.829
0.269 0.429 0.329
0.296 0.736 0.516
0.296 0.764 0.016
0.359 0.028 0.755
0.359 0.472 0.255
0.500 0.113 0.016
0.500 0.387 0.516
0.500 0.613 0.484
0.500 0.887 0.984
0.641 0.528 0.745
0.641 0.972 0.245
0.704 0.236 0.984
0.704 0.264 0.484
0.731 0.571 0.671
0.731 0.929 0.171
0.860 0.238 0.172
0.860 0.262 0.672
0.061 0.173 0.118
0.061 0.327 0.618
0.069 0.087 0.294
0.069 0.413 0.794
0.128 0.042 0.874
0.128 0.458 0.374
0.145 0.560 0.052
0.145 0.940 0.552
0.192 0.667 0.642
0.192 0.833 0.142
0.337 0.181 0.103
0.337 0.319 0.603
0.340 0.116 0.799
0.340 0.384 0.299
0.342 0.152 0.455
0.342 0.348 0.955
0.412 0.625 0.181
0.412 0.875 0.681
0.421 0.659 0.869
0.421 0.841 0.369
0.579 0.159 0.631
0.579 0.341 0.131
0.588 0.125 0.319
0.588 0.375 0.819
0.658 0.652 0.045
0.658 0.848 0.545
0.660 0.616 0.701
0.660 0.884 0.201
0.663 0.681 0.397
0.663 0.819 0.897
0.808 0.167 0.858
0.808 0.333 0.358
0.855 0.060 0.448
0.855 0.440 0.948
0.872 0.542 0.626
0.872 0.958 0.126
0.931 0.587 0.206
0.931 0.913 0.706
0.939 0.673 0.382
0.939 0.827 0.882
```

Record 4
Below is an optimized crystal structure of FeCu4BiPbS6, with properties calculated at the GGA-PBE level.

As for the formation enthalpy at 0 K: -520.1 meV/atom. Its calculated volume is 19.6 Å³ per atom. Its space group is Pmc2_1. The total magnetization is 4.67 μB/f.u.

Cell and atoms, written as POSCAR:
```
FeCu4BiPbS6
1.0
3.887 0.000 0.000
0.000 10.829 0.000
0.000 0.000 12.119
Fe Cu Bi Pb S
2 8 2 2 12
direct
0.000 0.207 0.000
0.000 0.793 0.500
0.000 0.015 0.395
0.000 0.985 0.895
0.500 0.122 0.157
0.500 0.287 0.862
0.500 0.479 0.595
0.500 0.521 0.095
0.500 0.713 0.362
0.500 0.878 0.657
0.000 0.348 0.313
0.000 0.652 0.813
0.500 0.193 0.596
0.500 0.807 0.096
0.000 0.024 0.088
0.000 0.180 0.813
0.000 0.388 0.528
0.000 0.612 0.028
0.000 0.820 0.313
0.000 0.976 0.588
0.500 0.132 0.350
0.500 0.311 0.056
0.500 0.479 0.783
0.500 0.521 0.283
0.500 0.689 0.556
0.500 0.868 0.850
```

Record 5
Below is an optimized crystal structure of Na5TiP2O9F, with properties calculated at the GGA-PBE level.

As for the formation enthalpy at 0 K: -2816.6 meV/atom. Its calculated volume is 12.7 Å³ per atom. Its space group is Pbca. The total magnetization is 0.00 μB/f.u.

Cell and atoms, written as POSCAR:
```
Na5TiP2O9F
1.0
11.139 0.000 0.000
0.000 13.831 0.000
0.000 0.000 11.870
Na Ti P O F
40 8 16 72 8
direct
0.000 0.000 0.000
0.000 0.000 0.500
0.000 0.500 0.000
0.000 0.500 0.500
0.012 0.125 0.250
0.012 0.375 0.750
0.242 0.502 0.168
0.242 0.998 0.668
0.247 0.625 0.923
0.247 0.875 0.423
0.248 0.244 0.162
0.248 0.256 0.662
0.252 0.744 0.162
0.252 0.756 0.662
0.253 0.125 0.923
0.253 0.375 0.423
0.258 0.002 0.168
0.258 0.498 0.668
0.488 0.625 0.250
0.488 0.875 0.750
0.500 0.000 0.000
0.500 0.000 0.500
0.500 0.500 0.000
0.500 0.500 0.500
0.512 0.125 0.250
0.512 0.375 0.750
0.742 0.502 0.332
0.742 0.998 0.832
0.747 0.625 0.577
0.747 0.875 0.077
0.748 0.244 0.338
0.748 0.256 0.838
0.752 0.744 0.338
0.752 0.756 0.838
0.753 0.125 0.577
0.753 0.375 0.077
0.758 0.002 0.332
0.758 0.498 0.832
0.988 0.625 0.250
0.988 0.875 0.750
0.013 0.236 0.003
0.013 0.264 0.503
0.487 0.736 0.003
0.487 0.764 0.503
0.513 0.236 0.497
0.513 0.264 0.997
0.987 0.736 0.497
0.987 0.764 0.997
0.014 0.629 0.755
0.014 0.871 0.255
0.249 0.127 0.423
0.249 0.373 0.923
0.251 0.627 0.423
0.251 0.873 0.923
0.486 0.129 0.755
0.486 0.371 0.255
0.514 0.629 0.745
0.514 0.871 0.245
0.749 0.127 0.077
0.749 0.373 0.577
0.751 0.627 0.077
0.751 0.873 0.577
0.986 0.129 0.745
0.986 0.371 0.245
0.027 0.215 0.666
0.027 0.285 0.166
0.037 0.033 0.701
0.037 0.467 0.201
0.041 0.150 0.865
0.041 0.350 0.365
0.070 0.674 0.057
0.070 0.826 0.557
0.113 0.643 0.448
0.113 0.857 0.948
0.152 0.629 0.747
0.152 0.871 0.247
0.182 0.216 0.478
0.182 0.284 0.978
0.208 0.033 0.478
0.208 0.467 0.978
0.230 0.127 0.295
0.230 0.373 0.795
0.270 0.627 0.295
0.270 0.873 0.795
0.292 0.533 0.478
0.292 0.967 0.978
0.318 0.716 0.478
0.318 0.784 0.978
0.348 0.129 0.747
0.348 0.371 0.247
0.387 0.143 0.448
0.387 0.357 0.948
0.430 0.174 0.057
0.430 0.326 0.557
0.459 0.650 0.865
0.459 0.850 0.365
0.463 0.533 0.701
0.463 0.967 0.201
0.473 0.715 0.666
0.473 0.785 0.166
0.527 0.215 0.834
0.527 0.285 0.334
0.537 0.033 0.799
0.537 0.467 0.299
0.541 0.150 0.635
0.541 0.350 0.135
0.570 0.674 0.443
0.570 0.826 0.943
0.613 0.643 0.052
0.613 0.857 0.552
0.652 0.629 0.753
0.652 0.871 0.253
0.682 0.216 0.022
0.682 0.284 0.522
0.708 0.033 0.022
0.708 0.467 0.522
0.730 0.127 0.205
0.730 0.373 0.705
0.770 0.627 0.205
0.770 0.873 0.705
0.792 0.533 0.022
0.792 0.967 0.522
0.818 0.716 0.022
0.818 0.784 0.522
0.848 0.129 0.753
0.848 0.371 0.253
0.887 0.143 0.052
0.887 0.357 0.552
0.930 0.174 0.443
0.930 0.326 0.943
0.959 0.650 0.635
0.959 0.850 0.135
0.963 0.533 0.799
0.963 0.967 0.299
0.973 0.715 0.834
0.973 0.785 0.334
0.123 0.115 0.079
0.123 0.385 0.579
0.377 0.615 0.079
0.377 0.885 0.579
0.623 0.115 0.421
0.623 0.385 0.921
0.877 0.615 0.421
0.877 0.885 0.921
```

Record 6
Below is an optimized crystal structure of SnH18C6Br3N, with properties calculated at the GGA-PBE level.

As for the formation enthalpy at 0 K: -252.1 meV/atom. Its calculated volume is 13.2 Å³ per atom. Its space group is Pbcm. The total magnetization is 0.00 μB/f.u.

Cell and atoms, written as POSCAR:
```
SnH18C6Br3N
1.0
6.592 0.000 0.000
0.000 12.047 0.000
0.000 0.000 19.245
Sn H C Br N
4 72 24 12 4
direct
0.081 0.000 0.250
0.081 0.500 0.750
0.919 0.000 0.750
0.919 0.500 0.250
0.167 0.217 0.250
0.167 0.283 0.750
0.260 0.629 0.008
0.260 0.629 0.492
0.260 0.871 0.508
0.260 0.871 0.992
0.271 0.132 0.515
0.271 0.132 0.985
0.271 0.368 0.015
0.271 0.368 0.485
0.274 0.725 0.079
0.274 0.725 0.421
0.274 0.775 0.579
0.274 0.775 0.921
0.284 0.071 0.703
0.284 0.071 0.797
0.284 0.429 0.203
0.284 0.429 0.297
0.287 0.239 0.580
0.287 0.239 0.920
0.287 0.261 0.080
0.287 0.261 0.420
0.312 0.558 0.250
0.312 0.942 0.750
0.364 0.146 0.203
0.364 0.146 0.297
0.364 0.354 0.703
0.364 0.354 0.797
0.460 0.617 0.071
0.460 0.617 0.429
0.460 0.883 0.571
0.460 0.883 0.929
0.472 0.129 0.579
0.472 0.129 0.921
0.472 0.371 0.079
0.472 0.371 0.421
0.528 0.629 0.579
0.528 0.629 0.921
0.528 0.871 0.079
0.528 0.871 0.421
0.540 0.117 0.071
0.540 0.117 0.429
0.540 0.383 0.571
0.540 0.383 0.929
0.636 0.646 0.203
0.636 0.646 0.297
0.636 0.854 0.703
0.636 0.854 0.797
0.688 0.058 0.250
0.688 0.442 0.750
0.713 0.739 0.580
0.713 0.739 0.920
0.713 0.761 0.080
0.713 0.761 0.420
0.716 0.571 0.703
0.716 0.571 0.797
0.716 0.929 0.203
0.716 0.929 0.297
0.726 0.225 0.079
0.726 0.225 0.421
0.726 0.275 0.579
0.726 0.275 0.921
0.729 0.632 0.515
0.729 0.632 0.985
0.729 0.868 0.015
0.729 0.868 0.485
0.740 0.129 0.008
0.740 0.129 0.492
0.740 0.371 0.508
0.740 0.371 0.992
0.833 0.717 0.250
0.833 0.783 0.750
0.241 0.025 0.750
0.241 0.475 0.250
0.271 0.146 0.250
0.271 0.354 0.750
0.361 0.674 0.043
0.361 0.674 0.457
0.361 0.826 0.543
0.361 0.826 0.957
0.374 0.182 0.547
0.374 0.182 0.953
0.374 0.318 0.047
0.374 0.318 0.453
0.626 0.682 0.547
0.626 0.682 0.953
0.626 0.818 0.047
0.626 0.818 0.453
0.639 0.174 0.043
0.639 0.174 0.457
0.639 0.326 0.543
0.639 0.326 0.957
0.729 0.646 0.250
0.729 0.854 0.750
0.759 0.525 0.750
0.759 0.975 0.250
0.092 0.003 0.105
0.092 0.003 0.395
0.092 0.497 0.605
0.092 0.497 0.895
0.263 0.688 0.750
0.263 0.812 0.250
0.737 0.188 0.750
0.737 0.312 0.250
0.908 0.503 0.105
0.908 0.503 0.395
0.908 0.997 0.605
0.908 0.997 0.895
0.494 0.750 0.000
0.494 0.750 0.500
0.506 0.250 0.000
0.506 0.250 0.500
```